GdGa6 PBE relaxed; crystal system = tetragonal; E_form = -324 meV/atom; volume = 276.8 Å³/cell; raw total energy = -4.930 eV per atom
1.0
6.022 0.000 0.000
0.000 6.022 0.000
0.000 0.000 7.632
Ga Gd
12 2
direct
0.500 0.500 0.162
0.500 0.500 0.838
0.314 0.186 0.351
0.314 0.814 0.649
0.186 0.314 0.649
0.686 0.186 0.649
0.186 0.686 0.351
0.686 0.814 0.351
0.000 0.000 0.162
0.000 0.000 0.838
0.814 0.314 0.351
0.814 0.686 0.649
0.000 0.500 0.000
0.500 0.000 0.000

---

YMo6S8 PBE relaxed; crystal system = trigonal; E_form = -1165 meV/atom; volume = 275.4 Å³/cell; raw total energy = -7.873 eV per atom
1.0
-4.216 2.449 -4.308
-0.133 -5.671 -3.187
-4.995 -2.008 3.655
S Mo Y
8 6 1
direct
0.248 0.631 0.871
0.631 0.871 0.248
0.752 0.369 0.129
0.238 0.238 0.238
0.369 0.129 0.752
0.762 0.762 0.762
0.129 0.752 0.369
0.871 0.248 0.631
0.776 0.580 0.440
0.440 0.776 0.580
0.224 0.420 0.560
0.560 0.224 0.420
0.420 0.560 0.224
0.580 0.440 0.776
0.000 0.000 0.000

---

PrN PBE relaxed; crystal system = tetragonal; E_form = -1192 meV/atom; volume = 73.8 Å³/cell; raw total energy = -7.571 eV per atom
1.0
-1.771 -0.733 3.181
-3.885 -0.092 -2.184
0.509 -4.369 -0.723
Pr N
2 2
direct
0.745 0.000 0.500
0.255 0.500 0.000
0.000 0.500 0.500
0.000 0.000 0.000

---

Si5O8 PBE relaxed; crystal system = triclinic; E_form = -2718 meV/atom; volume = 502.1 Å³/cell; raw total energy = -7.427 eV per atom
1.0
-4.440 -6.217 1.248
1.461 2.568 -6.098
9.929 -6.466 2.505
O Si
16 10
direct
0.760 0.377 0.483
0.042 0.707 0.116
0.326 0.001 0.000
0.491 0.189 0.638
0.189 0.531 0.953
0.864 0.445 0.710
0.641 0.479 0.040
0.382 0.629 0.522
0.600 0.153 0.852
0.315 0.256 0.869
0.414 0.562 0.294
0.783 0.000 0.501
0.442 0.851 0.152
0.709 0.687 0.634
0.019 0.313 0.367
0.296 0.814 0.366
0.789 0.162 0.414
0.481 0.842 0.282
0.632 0.841 0.589
0.652 0.163 0.722
0.707 0.440 0.610
0.835 0.713 0.144
0.247 0.770 0.055
0.119 0.285 0.850
0.264 0.564 0.393
0.472 0.225 0.941